Entry 1:
Entry from Materials Project: an optimized crystal structure of NdB2Ir3 (PBE-GGA).

## Properties
* formation energy: -14.75 kcal/mol of atoms
* symmetry: P6/mmm
* crystal system: hexagonal

Unit cell a=3.118 b=5.564 c=5.564 alpha=120.00 beta=90.00 gamma=90.00
Fractional positions:
Nd: 0.500 0.000 0.000
Ir: 0.000 0.500 0.500
Ir: 0.000 0.000 0.500
Ir: 0.000 0.500 0.000
B: 0.500 0.333 0.667
B: 0.500 0.667 0.333

Entry 2:
Entry from Materials Project: an optimized crystal structure of NdB4Ir4 (PBE-GGA).

## Properties
* formation energy: -13.04 kcal/mol of atoms
* symmetry: P4_2/n
* crystal system: tetragonal

Unit cell a=7.703 b=7.703 c=3.994 alpha=90.00 beta=90.00 gamma=90.00
Fractional positions:
B: 0.342 0.221 0.609
B: 0.158 0.279 0.891
B: 0.842 0.721 0.891
B: 0.779 0.342 0.391
B: 0.721 0.158 0.109
B: 0.658 0.779 0.609
B: 0.221 0.658 0.391
B: 0.279 0.842 0.109
Ir: 0.659 0.890 0.109
Ir: 0.159 0.390 0.391
Ir: 0.890 0.341 0.891
Ir: 0.841 0.610 0.391
Ir: 0.390 0.841 0.609
Ir: 0.341 0.110 0.109
Ir: 0.110 0.659 0.891
Ir: 0.610 0.159 0.609
Nd: 0.500 0.500 0.000
Nd: 0.000 0.000 0.500

Entry 3:
Entry from Materials Project: an optimized crystal structure of PrB2Ir2 (PBE-GGA).

## Properties
* formation energy: -16.70 kcal/mol of atoms
* symmetry: Fddd
* crystal system: orthorhombic

Unit cell a=7.155 b=6.160 c=5.611 alpha=74.70 beta=56.15 gamma=49.15
Fractional positions:
B: 0.073 0.427 0.073
B: 0.823 0.177 0.823
B: 0.427 0.073 0.427
B: 0.177 0.823 0.177
Ir: 0.379 0.379 0.121
Ir: 0.121 0.121 0.379
Ir: 0.871 0.871 0.129
Ir: 0.129 0.129 0.871
Pr: 0.750 0.750 0.750
Pr: 0.500 0.500 0.500

For reference, uncorrected energy by record: -48.48; -143.86; -78.87 eV for the cell shown.